Entry 1:
Here is a relaxed structure of LuZr6P9O36 from Materials Project. Energies are from GGA-PBE.

Cell: 8.9424 8.9424 22.7550 Å, 90.00 90.00 120.00°
Last column: nearest neighbours and their distance in Å.
Fractional positions:
Zr 0.0000 0.0000 0.1484  6 O 2.02-2.25
Zr 0.0000 0.0000 0.8516  6 O 2.02-2.25
Zr 0.3333 0.6667 0.0296  6 O 2.08-2.11
Zr 0.6667 0.3333 0.1870  6 O 2.07-2.12
Zr 0.3333 0.6667 0.8130  6 O 2.07-2.12
Zr 0.3333 0.6667 0.3130  6 O 2.07-2.12
Zr 0.0000 0.0000 0.3516  6 O 2.02-2.25
Zr 0.0000 0.0000 0.6484  6 O 2.02-2.25
Zr 0.3333 0.6667 0.5296  6 O 2.08-2.11
Zr 0.6667 0.3333 0.9704  6 O 2.08-2.11
Zr 0.6667 0.3333 0.6870  6 O 2.07-2.12
Zr 0.6667 0.3333 0.4704  6 O 2.08-2.11
O 0.8255 0.0298 0.3045  1 P 1.56
O 0.3098 0.8409 0.7593  1 P 1.52
O 0.2869 0.8303 0.4754  1 P 1.53
O 0.7957 0.9702 0.1955  1 P 1.56
O 0.3734 0.4895 0.5757  1 P 1.54
O 0.1591 0.6902 0.2593  1 P 1.52
O 0.8303 0.2869 0.0246  1 P 1.53
O 0.5433 0.7131 0.4754  1 P 1.53
O 0.8508 0.3082 0.1354  1 P 1.53
O 0.5312 0.6902 0.7593  1 P 1.52
O 0.7957 0.8255 0.6955  1 P 1.56
O 0.6918 0.1492 0.6354  1 P 1.53
O 0.4688 0.1591 0.7407  1 P 1.52
O 0.4895 0.3734 0.9243  1 P 1.54
O 0.8839 0.3734 0.4243  1 P 1.54
O 0.1697 0.7131 0.9754  1 P 1.53
O 0.5105 0.6266 0.0757  1 P 1.54
O 0.9894 0.8240 0.5757  1 P 1.59
O 0.3082 0.8508 0.3646  1 P 1.53
O 0.1161 0.4895 0.0757  1 P 1.54
O 0.2043 0.0298 0.8045  1 P 1.56
O 0.3734 0.8839 0.0757  1 P 1.54
O 0.9894 0.1655 0.0757  1 P 1.59
O 0.5425 0.8508 0.8646  1 P 1.53
O 0.8240 0.9894 0.9243  1 P 1.59
O 0.0298 0.2043 0.6955  1 P 1.56
O 0.8255 0.7957 0.8045  1 P 1.56
O 0.1760 0.1655 0.5757  1 P 1.59
O 0.1655 0.9894 0.4243  1 P 1.59
O 0.0298 0.8255 0.1955  1 P 1.56
O 0.8240 0.8345 0.4243  1 P 1.59
O 0.7131 0.1697 0.5246  1 P 1.53
O 0.1697 0.4567 0.4754  1 P 1.53
O 0.6266 0.5105 0.4243  1 P 1.54
O 0.5425 0.6918 0.3646  1 P 1.53
O 0.6902 0.1591 0.2407  1 P 1.52
O 0.4575 0.1492 0.1354  1 P 1.53
O 0.6266 0.1161 0.9243  1 P 1.54
O 0.8303 0.5433 0.5246  1 P 1.53
O 0.5312 0.8409 0.2593  1 P 1.52
O 0.1492 0.6918 0.8646  1 P 1.53
O 0.8409 0.5312 0.2407  1 P 1.52
O 0.8409 0.3098 0.7407  1 P 1.52
O 0.1591 0.4688 0.7593  1 P 1.52
O 0.0106 0.1760 0.4243  1 P 1.59
O 0.1161 0.6266 0.5757  1 P 1.54
O 0.0106 0.8345 0.9243  1 P 1.59
O 0.5105 0.8839 0.5757  1 P 1.54
O 0.2043 0.1745 0.3045  1 P 1.56
O 0.2869 0.4567 0.9754  1 P 1.53
O 0.8839 0.5105 0.9243  1 P 1.54
O 0.1760 0.0106 0.0757  1 P 1.59
O 0.3082 0.4575 0.8646  1 P 1.53
O 0.6918 0.5425 0.1354  1 P 1.53
O 0.1745 0.2043 0.1955  1 P 1.56
O 0.5433 0.8303 0.9754  1 P 1.53
O 0.3098 0.4688 0.2593  1 P 1.52
O 0.6902 0.5312 0.7407  1 P 1.52
O 0.4895 0.1161 0.4243  1 P 1.54
O 0.8508 0.5425 0.6354  1 P 1.53
O 0.4688 0.3098 0.2407  1 P 1.52
O 0.9702 0.7957 0.3045  1 P 1.56
O 0.4575 0.3082 0.6354  1 P 1.53
O 0.9702 0.1745 0.8045  1 P 1.56
O 0.1655 0.1760 0.9243  1 P 1.59
O 0.4567 0.2869 0.5246  1 P 1.53
O 0.1492 0.4575 0.3646  1 P 1.53
O 0.1745 0.9702 0.6955  1 P 1.56
O 0.4567 0.1697 0.0246  1 P 1.53
O 0.8345 0.0106 0.5757  1 P 1.59
O 0.8345 0.8240 0.0757  1 P 1.59
O 0.7131 0.5433 0.0246  1 P 1.53
P 0.3722 0.3174 0.5783  4 O 1.53-1.59
P 0.9452 0.6278 0.5783  4 O 1.53-1.59
P 0.3174 0.9452 0.4217  4 O 1.53-1.59
P 0.0000 0.7076 0.2500  4 O 1.52-1.56
P 0.0000 0.2924 0.7500  4 O 1.52-1.56
P 0.6826 0.6278 0.0783  4 O 1.53-1.59
P 0.3722 0.0548 0.0783  4 O 1.53-1.59
P 0.7076 0.0000 0.2500  4 O 1.52-1.56
P 0.7076 0.7076 0.7500  4 O 1.52-1.56
P 0.0548 0.6826 0.9217  4 O 1.53-1.59
P 0.2924 0.0000 0.7500  4 O 1.52-1.56
P 0.6826 0.0548 0.5783  4 O 1.53-1.59
P 0.0548 0.3722 0.4217  4 O 1.53-1.59
P 0.6278 0.6826 0.4217  4 O 1.53-1.59
P 0.9452 0.3174 0.0783  4 O 1.53-1.59
P 0.6278 0.9452 0.9217  4 O 1.53-1.59
P 0.2924 0.2924 0.2500  4 O 1.52-1.56
P 0.3174 0.3722 0.9217  4 O 1.53-1.59
Lu 0.0000 0.0000 0.5000  6 O 2.30
Lu 0.0000 0.0000 0.0000  6 O 2.30

Calculated values
- uncorrected energy (eV/f.u.) = -426.4
- magnetic moment (μB per cell) = 0.04
- energy of formation (eV per atom) = -3.24



Entry 2:
Here is a relaxed structure of Na2ScTaSi2SO12 from Materials Project. Energies are from GGA-PBE.

Cell: 8.9913 8.9913 22.8495 Å, 89.91 90.09 119.57°
Last column: nearest neighbours and their distance in Å.
Fractional positions:
O 0.6370 0.1511 0.4250  1 Si 1.66
O 0.5062 0.1544 0.9245  1 Si 1.70
O 0.0282 0.1985 0.1908  1 Si 1.69
O 0.8333 0.0386 0.0878  1 S 1.53
O 0.8396 0.8210 0.5912  1 Si 1.70
O 0.1278 0.4748 0.5755  1 S 1.45
O 0.5156 0.6964 0.2584  1 Si 1.66
O 0.8586 0.5389 0.7421  1 S 1.45
O 0.1691 0.9855 0.9113  1 Si 1.61
O 0.1574 0.4558 0.9753  1 Si 1.61
O 0.6861 0.5228 0.2448  1 Si 1.62
O 0.8282 0.5217 0.0278  1 Si 1.69
O 0.0145 0.8309 0.4113  1 Si 1.61
O 0.9865 0.1787 0.3064  1 Si 1.59
O 0.4948 0.8551 0.3611  1 Si 1.69
O 0.8358 0.3188 0.2446  1 Si 1.61
O 0.2118 0.0229 0.3030  1 S 1.46
O 0.1729 0.4877 0.2578  1 Si 1.70
O 0.4908 0.1225 0.6419  1 Si 1.61
O 0.5123 0.8271 0.7578  1 Si 1.70
O 0.7944 0.8081 0.9088  1 S 1.45
O 0.4783 0.1718 0.5278  1 Si 1.69
O 0.1822 0.0297 0.5917  1 Si 1.66
O 0.3643 0.4904 0.3641  1 S 1.51
O 0.8456 0.4938 0.4245  1 Si 1.70
O 0.9614 0.1667 0.5878  1 S 1.53
O 0.2948 0.8334 0.2545  1 S 1.53
O 0.9771 0.7882 0.8030  1 S 1.46
O 0.3527 0.8561 0.5781  1 Si 1.62
O 0.6949 0.5318 0.5241  1 Si 1.69
O 0.3198 0.8454 0.9731  1 Si 1.59
O 0.1546 0.6802 0.4731  1 Si 1.59
O 0.8105 0.9806 0.4114  1 Si 1.62
O 0.8015 0.9718 0.6908  1 Si 1.69
O 0.3036 0.4844 0.7584  1 Si 1.66
O 0.1666 0.7052 0.7545  1 S 1.53
O 0.5442 0.8426 0.4753  1 Si 1.61
O 0.8116 0.8385 0.1945  1 Si 1.69
O 0.3104 0.4549 0.4697  1 S 1.46
O 0.1919 0.2056 0.4088  1 S 1.45
O 0.8489 0.3630 0.9250  1 Si 1.66
O 0.8429 0.3023 0.5308  1 S 1.51
O 0.9703 0.8178 0.0917  1 Si 1.66
O 0.8241 0.7891 0.3086  1 Si 1.61
O 0.5451 0.6896 0.9697  1 S 1.46
O 0.5252 0.8722 0.0755  1 S 1.45
O 0.5024 0.6522 0.5780  1 Si 1.61
O 0.4611 0.1414 0.2421  1 S 1.45
O 0.4772 0.3139 0.7448  1 Si 1.62
O 0.1790 0.1604 0.0912  1 Si 1.70
O 0.8784 0.3562 0.6364  1 S 1.46
O 0.4879 0.3468 0.1397  1 Si 1.59
O 0.1615 0.1884 0.6945  1 Si 1.69
O 0.6281 0.5000 0.9212  1 S 1.53
O 0.1763 0.9690 0.1974  1 S 1.51
O 0.6812 0.1642 0.7446  1 Si 1.61
O 0.0194 0.1895 0.9114  1 Si 1.62
O 0.8775 0.5092 0.1419  1 Si 1.61
O 0.1449 0.5052 0.8611  1 Si 1.69
O 0.6977 0.1571 0.0308  1 S 1.51
O 0.0310 0.8237 0.6974  1 S 1.51
O 0.3616 0.8651 0.8575  1 Si 1.69
O 0.6438 0.1216 0.1364  1 S 1.46
O 0.1439 0.6473 0.0781  1 Si 1.62
O 0.6532 0.5121 0.6397  1 Si 1.59
O 0.5000 0.3719 0.4212  1 S 1.53
O 0.3478 0.4976 0.0780  1 Si 1.61
O 0.5096 0.6357 0.8641  1 S 1.51
O 0.4682 0.3051 0.0241  1 Si 1.69
O 0.2109 0.1759 0.8086  1 Si 1.61
O 0.1349 0.6384 0.3575  1 Si 1.69
O 0.8213 0.0135 0.8064  1 Si 1.59
S 0.6226 0.6667 0.9171  4 O 1.45-1.53
S 0.3333 0.3774 0.4171  4 O 1.45-1.53
S 0.0000 0.7107 0.7504  4 O 1.45-1.53
S 0.2893 0.0000 0.2504  4 O 1.45-1.53
S 0.6666 0.0441 0.0838  4 O 1.45-1.53
S 0.9559 0.3334 0.5838  4 O 1.45-1.53
Ta 0.6653 0.3344 0.4797  6 O 1.94-2.14
Ta 0.9987 0.0011 0.1464  6 O 1.94-2.14
Ta 0.6656 0.3347 0.9797  6 O 1.94-2.14
Ta 0.3323 0.6680 0.3130  6 O 1.94-2.14
Ta 0.9989 0.0013 0.6464  6 O 1.94-2.14
Ta 0.3320 0.6677 0.8130  6 O 1.94-2.14
Na 0.6503 0.9553 0.5832  4 O 2.37-2.53
Na 0.3169 0.2886 0.9165  4 O 2.37-2.53
Na 0.3425 0.6580 0.6621  5 O 2.42-2.69
Na 0.9836 0.6219 0.2498  4 O 2.37-2.53
Na 0.6753 0.3242 0.8288  5 O 2.42-2.69
Na 0.0092 0.9914 0.9954  5 O 2.42-2.69
Na 0.3781 0.0164 0.7498  4 O 2.37-2.53
Na 0.7114 0.6831 0.4165  4 O 2.37-2.53
Na 0.6758 0.3247 0.3288  5 O 2.42-2.69
Na 0.0447 0.3497 0.0832  4 O 2.37-2.53
Na 0.3420 0.6575 0.1621  5 O 2.42-2.69
Na 0.0086 0.9908 0.4954  5 O 2.42-2.69
Sc 0.9848 0.9962 0.3528  4 O 1.95-2.11
Sc 0.0038 0.0152 0.8528  4 O 1.95-2.11
Sc 0.6515 0.3295 0.6861  4 O 1.95-2.11
Sc 0.3181 0.6628 0.0194  4 O 1.95-2.11
Sc 0.3372 0.6819 0.5194  4 O 1.95-2.11
Sc 0.6705 0.3485 0.1861  4 O 1.95-2.11
Si 0.3322 0.9575 0.9175  4 O 1.59-1.70
Si 0.0425 0.6678 0.4175  4 O 1.59-1.70
Si 0.9561 0.6279 0.0848  4 O 1.61-1.69
Si 0.2894 0.2945 0.7515  4 O 1.61-1.69
Si 0.0388 0.3773 0.9181  4 O 1.61-1.69
Si 0.3759 0.3345 0.0842  4 O 1.59-1.70
Si 0.7055 0.7106 0.2515  4 O 1.61-1.69
Si 0.7092 0.0011 0.7509  4 O 1.59-1.70
Si 0.6655 0.6241 0.5842  4 O 1.59-1.70
Si 0.9989 0.2908 0.2509  4 O 1.59-1.70
Si 0.3721 0.0439 0.5848  4 O 1.61-1.69
Si 0.6227 0.9612 0.4181  4 O 1.61-1.69

Calculated values
- uncorrected energy (eV/f.u.) = -141.8
- magnetic moment (μB per cell) = 0.00
- energy of formation (eV per atom) = -2.89



Entry 3:
Here is a relaxed structure of Th6Cd7 from Materials Project. Energies are from GGA-PBE.

Cell: 6.0410 9.9392 11.6900 Å, 90.00 90.00 90.00°
Last column: nearest neighbours and their distance in Å.
Fractional positions:
Cd 0.2561 0.1548 0.8192  5 Cd 2.95-3.09
Cd 0.2561 0.3452 0.3192  5 Cd 2.95-3.09
Cd 0.2561 0.6548 0.6808  5 Cd 2.95-3.09
Cd 0.7439 0.8452 0.1808  5 Cd 2.95-3.09
Cd 0.0000 0.5967 0.2525  5 Cd 3.03-3.05, 2 Th 3.39
Cd 0.0000 0.0000 0.0000  6 Cd 3.04-3.05
Cd 0.7439 0.1548 0.8192  5 Cd 2.95-3.09
Cd 0.2561 0.8452 0.1808  5 Cd 2.95-3.09
Cd 0.0000 0.0967 0.2475  5 Cd 3.03-3.05, 2 Th 3.39
Cd 0.0000 0.4033 0.7475  5 Cd 3.03-3.05, 2 Th 3.39
Cd 0.0000 0.9033 0.7525  5 Cd 3.03-3.05, 2 Th 3.39
Cd 0.7439 0.3452 0.3192  5 Cd 2.95-3.09
Cd 0.7439 0.6548 0.6808  5 Cd 2.95-3.09
Cd 0.0000 0.5000 0.5000  6 Cd 3.04-3.05
Th 0.0000 0.1565 0.5434  3 Th 3.27-3.52, 8 Cd 3.42-3.58
Th 0.5000 0.4504 0.8737  1 Th 3.11, 6 Cd 3.35-3.39
Th 0.5000 0.6679 0.4140  10 Cd 3.45-3.70, 5 Th 3.52-3.82
Th 0.5000 0.3321 0.5860  10 Cd 3.45-3.70, 5 Th 3.52-3.82
Th 0.5000 0.0496 0.3737  1 Th 3.11, 6 Cd 3.35-3.39
Th 0.5000 0.9504 0.6263  1 Th 3.11, 6 Cd 3.35-3.39
Th 0.5000 0.8321 0.9140  10 Cd 3.45-3.70, 5 Th 3.52-3.82
Th 0.5000 0.5496 0.1263  1 Th 3.11, 6 Cd 3.35-3.39
Th 0.5000 0.1679 0.0860  10 Cd 3.45-3.70, 5 Th 3.52-3.82
Th 0.0000 0.6565 0.9566  3 Th 3.27-3.52, 8 Cd 3.42-3.58
Th 0.0000 0.3435 0.0434  3 Th 3.27-3.52, 8 Cd 3.42-3.58
Th 0.0000 0.8435 0.4566  3 Th 3.27-3.52, 8 Cd 3.42-3.58

Calculated values
- uncorrected energy (eV/f.u.) = -52.7
- energy of formation (eV per atom) = -0.13



Entry 4:
Here is a relaxed structure of Ba2Ge3 from Materials Project. Energies are from GGA-PBE.

Cell: 6.6092 6.6092 6.6092 Å, 142.33 102.77 89.29°
Last column: nearest neighbours and their distance in Å.
Fractional positions:
Ba 0.7813 0.7671 0.0142  9 Ge 3.47-3.75
Ba 0.2471 0.2329 0.0142  9 Ge 3.47-3.75
Ge 0.3474 0.0000 0.3474  1 Ge 2.46
Ge 0.8134 0.5000 0.3134  2 Ge 2.54
Ge 0.6458 0.0000 0.6458  3 Ge 2.46-2.54

Calculated values
- uncorrected energy (eV/f.u.) = -20.0
- magnetic moment (μB per cell) = 0.00
- energy of formation (eV per atom) = -0.46



Entry 5:
Here is a relaxed structure of LiFe6Ge5 from Materials Project. Energies are from GGA-PBE.

Cell: 14.7455 14.7455 14.7455 Å, 19.64 19.64 19.64°
Last column: nearest neighbours and their distance in Å.
Fractional positions:
Fe 0.6355 0.6355 0.1463  4 Fe 2.46-2.57, 5 Ge 2.49-2.54
Fe 0.3645 0.8537 0.3645  4 Fe 2.46-2.57, 5 Ge 2.49-2.54
Fe 0.3645 0.3645 0.8537  4 Fe 2.46-2.57, 5 Ge 2.49-2.54
Fe 0.8537 0.3645 0.3645  4 Fe 2.46-2.57, 5 Ge 2.49-2.54
Fe 0.5464 0.0457 0.5464  6 Ge 2.46-2.62, 4 Fe 2.51-2.52
Fe 0.4536 0.9543 0.4536  6 Ge 2.46-2.62, 4 Fe 2.51-2.52
Fe 0.9543 0.4536 0.4536  6 Ge 2.46-2.62, 4 Fe 2.51-2.52
Fe 0.6355 0.1463 0.6355  4 Fe 2.46-2.57, 5 Ge 2.49-2.54
Fe 0.5464 0.5464 0.0457  6 Ge 2.46-2.62, 4 Fe 2.51-2.52
Fe 0.1463 0.6355 0.6355  4 Fe 2.46-2.57, 5 Ge 2.49-2.54
Fe 0.4536 0.4536 0.9543  6 Ge 2.46-2.62, 4 Fe 2.51-2.52
Fe 0.0457 0.5464 0.5464  6 Ge 2.46-2.62, 4 Fe 2.51-2.52
Ge 0.3334 0.3334 0.3334  6 Fe 2.47
Ge 0.7591 0.7591 0.7591  6 Fe 2.48-2.51
Ge 0.6666 0.6666 0.6666  6 Fe 2.47
Ge 0.0295 0.0295 0.0295  1 Li 2.53, 1 Ge 2.56, 6 Fe 2.62
Ge 0.4254 0.4254 0.4254  6 Fe 2.46-2.49
Ge 0.1475 0.1475 0.1475  9 Fe 2.51-2.54, 1 Li 2.59
Ge 0.8525 0.8525 0.8525  9 Fe 2.51-2.54, 1 Li 2.59
Ge 0.5746 0.5746 0.5746  6 Fe 2.46-2.49
Ge 0.2409 0.2409 0.2409  6 Fe 2.48-2.51
Ge 0.9705 0.9705 0.9705  1 Li 2.53, 1 Ge 2.56, 6 Fe 2.62
Li 0.0878 0.0878 0.0878  2 Ge 2.53-2.59
Li 0.9122 0.9122 0.9122  2 Ge 2.53-2.59

Calculated values
- uncorrected energy (eV/f.u.) = -78.0
- magnetic moment (μB per cell) = 19.49
- energy of formation (eV per atom) = -0.18



Entry 6:
Here is a relaxed structure of Ca2InPt2 from Materials Project. Energies are from GGA-PBE.

Cell: 5.8459 5.8459 8.2287 Å, 77.25 77.25 58.55°
Last column: nearest neighbours and their distance in Å.
Fractional positions:
In 0.8483 0.1517 0.2500  4 Pt 2.74-2.76
In 0.1517 0.8483 0.7500  4 Pt 2.74-2.76
Pt 0.7240 0.0028 0.0037  1 Pt 2.65, 2 In 2.74-2.76
Pt 0.0028 0.7240 0.5037  1 Pt 2.65, 2 In 2.74-2.76
Pt 0.9972 0.2760 0.4963  1 Pt 2.65, 2 In 2.74-2.76
Pt 0.2760 0.9972 0.9963  1 Pt 2.65, 2 In 2.74-2.76
Ca 0.5018 0.7960 0.3509  6 Pt 3.05-3.23
Ca 0.7960 0.5018 0.8509  6 Pt 3.05-3.23
Ca 0.4982 0.2040 0.6491  6 Pt 3.05-3.23
Ca 0.2040 0.4982 0.1491  6 Pt 3.05-3.23

Calculated values
- uncorrected energy (eV/f.u.) = -23.3
- energy of formation (eV per atom) = -0.88